[1]
VASP calculation (PBE) on crystalline PrP2H2CO6 at its relaxed geometry.

a b c (Å): 5.3939 8.2401 8.3182
angles (deg): 113.65 100.40 106.87
Closest atoms and distances in Å follow each position.
Sites, in units of the cell vectors:
Pr: 0.2713 0.7713 0.5425  8 O 2.40-2.61
Pr: 0.7287 0.2287 0.4575  8 O 2.40-2.61
P: 0.2408 0.3665 0.2223  3 O 1.52-1.56
P: 0.0185 0.1443 0.7777  3 O 1.52-1.56
P: 0.7592 0.6335 0.7777  3 O 1.52-1.56
P: 0.9815 0.8557 0.2223  3 O 1.52-1.56
H: 0.8405 0.3146 0.0000  1 C 1.10
H: 0.1595 0.6854 0.0000  1 C 1.10
H: 0.8321 0.0970 0.0000  1 C 1.10
H: 0.1679 0.9030 0.0000  1 C 1.10
C: 0.9620 0.2278 0.0000  2 H 1.10
C: 0.0380 0.7722 0.0000  2 H 1.10
O: 0.9004 0.6050 0.6266  1 P 1.56
O: 0.2738 0.9784 0.3734  1 P 1.56
O: 0.0996 0.3950 0.3734  1 P 1.56
O: 0.7262 0.0216 0.6266  1 P 1.56
O: 0.3862 0.5787 0.2608  1 P 1.56
O: 0.1254 0.3179 0.7392  1 P 1.56
O: 0.6138 0.4213 0.7392  1 P 1.56
O: 0.8746 0.6821 0.2608  1 P 1.56
O: 0.5688 0.7356 0.7670  1 P 1.52
O: 0.8018 0.9686 0.2330  1 P 1.52
O: 0.4312 0.2644 0.2330  1 P 1.52
O: 0.1982 0.0314 0.7670  1 P 1.52

The value obtained for the formation energy is -2.146 eV/atom. The total energy comes out at -6.91 eV/atom.

[2]
VASP calculation (PBE) on crystalline CaEu3 at its relaxed geometry.

a b c (Å): 7.9802 7.9802 6.4923
angles (deg): 90.00 90.00 120.00
Closest atoms and distances in Å follow each position.
Sites, in units of the cell vectors:
Ca: 0.3333 0.6667 0.7500  12 Eu 3.99
Ca: 0.6667 0.3333 0.2500  12 Eu 3.99
Eu: 0.1660 0.3321 0.2500  8 Eu 3.98-4.01, 4 Ca 3.99
Eu: 0.6679 0.8340 0.2500  8 Eu 3.98-4.01, 4 Ca 3.99
Eu: 0.1660 0.8340 0.2500  8 Eu 3.98-4.01, 4 Ca 3.99
Eu: 0.8340 0.6679 0.7500  8 Eu 3.98-4.01, 4 Ca 3.99
Eu: 0.3321 0.1660 0.7500  8 Eu 3.98-4.01, 4 Ca 3.99
Eu: 0.8340 0.1660 0.7500  8 Eu 3.98-4.01, 4 Ca 3.99

The value obtained for the formation energy is 0.010 eV/atom. The total energy comes out at -8.18 eV/atom.

[3]
VASP calculation (PBE) on crystalline CsH3O2 at its relaxed geometry.

a b c (Å): 4.6309 4.6309 4.4266
angles (deg): 90.00 90.00 122.76
Closest atoms and distances in Å follow each position.
Sites, in units of the cell vectors:
Cs: 0.0041 0.9959 0.0000  12 H 3.17-3.23, 12 O 3.40-3.52
H: 0.4450 0.5550 0.5000  1 O 0.99
H: 0.5473 0.0680 0.5000  1 O 1.04
H: 0.9320 0.4527 0.5000  1 O 1.04
O: 0.3235 0.6765 0.5000  1 H 0.99
O: 0.6670 0.3330 0.5000  2 H 1.04

The value obtained for the formation energy is -1.445 eV/atom. The calculation puts the largest piezoelectric modulus at 0.7 C/m². The total energy comes out at -4.71 eV/atom.

[4]
VASP calculation (PBE) on crystalline Li3BiS3 at its relaxed geometry.

a b c (Å): 6.8445 7.8202 10.4358
angles (deg): 90.00 90.00 90.00
Closest atoms and distances in Å follow each position.
Sites, in units of the cell vectors:
Li: 0.0400 0.0675 0.7711  3 S 2.51-2.58
Li: 0.3424 0.0942 0.3162  4 S 2.43-2.48
Li: 0.3766 0.2478 0.6196  4 S 2.44-2.55
Li: 0.8766 0.2522 0.1196  4 S 2.44-2.55
Li: 0.8424 0.4058 0.8162  4 S 2.43-2.48
Li: 0.5400 0.4325 0.2711  3 S 2.51-2.58
Li: 0.4600 0.5675 0.7711  3 S 2.51-2.58
Li: 0.1576 0.5942 0.3162  4 S 2.43-2.48
Li: 0.1234 0.7478 0.6196  4 S 2.44-2.55
Li: 0.6234 0.7522 0.1196  4 S 2.44-2.55
Li: 0.6576 0.9058 0.8162  4 S 2.43-2.48
Li: 0.9600 0.9325 0.2711  3 S 2.51-2.58
Bi: 0.9008 0.2831 0.4966  3 S 2.57-2.60
Bi: 0.4008 0.2169 0.9966  3 S 2.57-2.60
Bi: 0.5992 0.7831 0.4966  3 S 2.57-2.60
Bi: 0.0992 0.7169 0.9966  3 S 2.57-2.60
S: 0.1554 0.0375 0.5095  3 Li 2.43-2.55, 1 Bi 2.60
S: 0.6957 0.1488 0.3159  4 Li 2.46-2.53, 1 Bi 2.57
S: 0.7042 0.1732 0.6918  4 Li 2.43-2.58, 1 Bi 2.59
S: 0.2042 0.3268 0.1918  4 Li 2.43-2.58, 1 Bi 2.59
S: 0.1957 0.3512 0.8159  4 Li 2.46-2.53, 1 Bi 2.57
S: 0.6554 0.4625 0.0095  3 Li 2.43-2.55, 1 Bi 2.60
S: 0.3446 0.5375 0.5095  3 Li 2.43-2.55, 1 Bi 2.60
S: 0.8043 0.6488 0.3159  4 Li 2.46-2.53, 1 Bi 2.57
S: 0.7958 0.6732 0.6918  4 Li 2.43-2.58, 1 Bi 2.59
S: 0.2958 0.8268 0.1918  4 Li 2.43-2.58, 1 Bi 2.59
S: 0.3043 0.8512 0.8159  4 Li 2.46-2.53, 1 Bi 2.57
S: 0.8446 0.9625 0.0095  3 Li 2.43-2.55, 1 Bi 2.60

For the energy above the most stable polymorph in this dataset, the calculation gives 13.0 meV/atom. The value obtained for the formation energy is -1.170 eV/atom. The total energy comes out at -4.10 eV/atom.

[5]
VASP calculation (PBE) on crystalline Cs2YInF6 at its relaxed geometry.

a b c (Å): 6.8966 6.8966 6.8966
angles (deg): 60.00 60.00 60.00
Closest atoms and distances in Å follow each position.
Sites, in units of the cell vectors:
Cs: 0.7500 0.7500 0.7500  12 F 3.46
Cs: 0.2500 0.2500 0.2500  12 F 3.46
Y: 0.0000 0.0000 0.0000  6 F 2.20
In: 0.5000 0.5000 0.5000  6 F 2.68
F: 0.7748 0.2252 0.2252  1 Y 2.20
F: 0.2252 0.2252 0.7748  1 Y 2.20
F: 0.2252 0.7748 0.7748  1 Y 2.20
F: 0.2252 0.7748 0.2252  1 Y 2.20
F: 0.7748 0.2252 0.7748  1 Y 2.20
F: 0.7748 0.7748 0.2252  1 Y 2.20

The value obtained for the formation energy is -3.328 eV/atom. The total energy comes out at -5.30 eV/atom.

[6]
VASP calculation (PBE) on crystalline K2CuAuCl6 at its relaxed geometry.

a b c (Å): 7.0553 7.0553 7.0553
angles (deg): 60.00 60.00 60.00
Closest atoms and distances in Å follow each position.
Sites, in units of the cell vectors:
K: 0.7500 0.7500 0.7500  12 Cl 3.53
K: 0.2500 0.2500 0.2500  12 Cl 3.53
Cu: 0.5000 0.5000 0.5000  6 Cl 2.42
Au: 0.0000 0.0000 0.0000  6 Cl 2.57
Cl: 0.7428 0.2572 0.2572  1 Cu 2.42, 1 Au 2.57
Cl: 0.2572 0.2572 0.7428  1 Cu 2.42, 1 Au 2.57
Cl: 0.2572 0.7428 0.7428  1 Cu 2.42, 1 Au 2.57
Cl: 0.2572 0.7428 0.2572  1 Cu 2.42, 1 Au 2.57
Cl: 0.7428 0.2572 0.7428  1 Cu 2.42, 1 Au 2.57
Cl: 0.7428 0.7428 0.2572  1 Cu 2.42, 1 Au 2.57

The value obtained for the formation energy is -1.371 eV/atom. The total energy comes out at -3.07 eV/atom.

[7]
VASP calculation (PBE) on crystalline NbCuO3F at its relaxed geometry.

a b c (Å): 3.8403 6.6568 6.7975
angles (deg): 112.74 99.61 86.60
Closest atoms and distances in Å follow each position.
Sites, in units of the cell vectors:
Nb: 0.2683 0.2172 0.1625  4 O 1.80-2.01
Nb: 0.7317 0.7828 0.8375  4 O 1.80-2.01
Cu: 0.2888 0.8045 0.3528  3 O 1.88-1.98, 1 F 1.99
Cu: 0.7112 0.1955 0.6472  3 O 1.88-1.98, 1 F 1.99
O: 0.7533 0.1447 0.0826  2 Nb 2.00-2.01
O: 0.2467 0.8553 0.9174  2 Nb 2.00-2.01
O: 0.6682 0.8914 0.6064  1 Nb 1.94, 2 Cu 1.95-1.98
O: 0.7125 0.4920 0.6918  1 Nb 1.80, 1 Cu 1.88
O: 0.3318 0.1086 0.3936  1 Nb 1.94, 2 Cu 1.95-1.98
O: 0.2875 0.5080 0.3082  1 Nb 1.80, 1 Cu 1.88
F: 0.8401 0.7546 0.1467  1 Cu 1.99, 1 Nb 2.15
F: 0.1599 0.2454 0.8533  1 Cu 1.99, 1 Nb 2.15

The value obtained for the formation energy is -2.396 eV/atom. The total energy comes out at -7.14 eV/atom.

[8]
VASP calculation (PBE) on crystalline TlIO3 at its relaxed geometry.

a b c (Å): 4.5864 4.5864 4.5864
angles (deg): 88.64 88.64 88.64
Closest atoms and distances in Å follow each position.
Sites, in units of the cell vectors:
Tl: 0.0025 0.0025 0.0025  9 O 3.04-3.25
I: 0.5052 0.5052 0.5052  3 O 1.84
O: 0.9039 0.4630 0.4630  1 I 1.84
O: 0.4630 0.4630 0.9039  1 I 1.84
O: 0.4630 0.9039 0.4630  1 I 1.84

The value obtained for the formation energy is -0.971 eV/atom. The calculation puts the largest piezoelectric modulus at 1.6 C/m². The total energy comes out at -4.30 eV/atom.